Arrangement A

First-principles (r²SCAN) data for a relaxed Nb5Si3 crystal, as listed in the Materials Project database.

Values from the calculation:
Theoretical density: 7.01 g/cm3
Symmetry: I4/mcm

```
Nb5Si3
1.0
-3.3006 3.3006 5.9636
3.3006 -3.3006 5.9636
3.3006 3.3006 -5.9636
Nb Si
10 6
Cartesian
0.0000 0.0000 0.0000
4.3988 1.0982 -1.7749
1.0982 2.2024 -1.7749
4.3988 1.0982 1.7749
1.0982 2.2024 1.7749
0.0000 0.0000 5.9636
2.2024 1.0982 4.1886
-1.0982 2.2024 4.1886
2.2024 1.0982 7.7385
-1.0982 2.2024 7.7385
2.4526 0.8480 0.0000
0.0000 0.0000 2.9818
2.4526 -0.8480 5.9636
0.8480 4.1486 0.0000
0.0000 0.0000 8.9453
0.8480 2.4526 5.9636
```

---

Arrangement B

First-principles (r²SCAN) data for a relaxed Nb5Si3 crystal, as listed in the Materials Project database.

Values from the calculation:
Theoretical density: 7.06 g/cm3
Symmetry: I4/mcm

```
Nb5Si3
1.0
-5.0364 5.0364 2.5456
5.0364 -5.0364 2.5456
5.0364 5.0364 -2.5456
Nb Si
10 6
Cartesian
7.8654 0.7665 0.0000
0.7665 2.2073 0.0000
5.0364 0.0000 1.2728
5.8028 2.8290 0.0000
2.8290 4.2699 0.0000
2.2073 0.7665 2.5456
-0.7665 2.2073 2.5456
0.0000 5.0364 1.2728
4.2699 2.8290 2.5456
-2.8290 4.2699 2.5456
3.3788 1.6576 0.0000
0.0000 0.0000 1.2728
3.3788 -1.6576 2.5456
1.6576 6.6939 0.0000
0.0000 0.0000 3.8184
1.6576 3.3788 2.5456
```

---

arrangement A is the most stable structure; the next one sits 52 meV per atom above it.